Compound: Sc2ZnGa
Source: the Materials Project
Functional: r2SCAN
Structure: optimized geometry

It has space group Fm-3m (No. 225), with a = 6.667 Å, b = 6.667 Å, c = 6.667 Å, α = 90.00°, β = 90.00° and γ = 90.00°. Symmetry generates all atoms from Sc at (0.250, 0.250, 0.250), Zn at (0.000, 0.000, 0.000) and Ga at (0.000, 0.000, 0.500).

The calculation puts the total magnetization at 0.00 μB/cell. As for the energy of formation: -0.548 eV per atom. The calculation puts the calculated total energy at -11.3353 eV/atom. Its crystal system is cubic. As for the volume: 296.3 Å³ per cell.